# 1
CdSO4 (GGA-PBE, relaxed); space-group type = No. 63; DFT total energy = -5.5146 eV/atom; calculated formation energy = -1831 meV/atom
1.0
2.698 -4.207 0.000
2.698 4.207 0.000
0.000 0.000 7.313
Cd O S
2 8 2
Direct
0.000 0.000 0.500
0.000 0.000 0.000
0.766 0.688 0.750
0.739 0.261 0.580
0.234 0.312 0.250
0.739 0.261 0.920
0.261 0.739 0.080
0.688 0.766 0.250
0.261 0.739 0.420
0.312 0.234 0.750
0.355 0.645 0.250
0.645 0.355 0.750

# 2
CdS2O7 (GGA-PBE, relaxed); space-group type = No. 14; DFT total energy = -5.6777 eV/atom; calculated formation energy = -1775 meV/atom
1.0
-11.857 5.258 2.772
-2.387 -4.188 -2.265
-2.344 -8.084 5.307
S O Cd
8 28 4
Direct
0.026 0.373 0.808
0.314 0.715 0.086
0.186 0.715 0.586
0.474 0.373 0.308
0.526 0.627 0.692
0.686 0.285 0.914
0.974 0.627 0.192
0.814 0.285 0.414
0.389 0.250 0.416
0.325 0.975 0.931
0.287 0.447 0.089
0.432 0.670 0.149
0.111 0.250 0.916
0.175 0.975 0.431
0.889 0.750 0.084
0.825 0.025 0.569
0.446 0.509 0.641
0.611 0.750 0.584
0.744 0.235 0.805
0.756 0.235 0.305
0.554 0.491 0.359
0.244 0.765 0.695
0.490 0.816 0.748
0.675 0.025 0.069
0.932 0.330 0.351
0.510 0.184 0.252
0.068 0.670 0.649
0.990 0.184 0.752
0.568 0.330 0.851
0.213 0.447 0.589
0.787 0.553 0.411
0.946 0.491 0.859
0.713 0.553 0.911
0.054 0.509 0.141
0.010 0.816 0.248
0.256 0.765 0.195
0.350 0.125 0.672
0.150 0.125 0.172
0.650 0.875 0.328
0.850 0.875 0.828

# 3
Cd2SO6 (GGA-PBE, relaxed); space-group type = No. 15; magnetization = 4.00 Bohr magnetons per cell; DFT total energy = -4.8338 eV/atom; calculated formation energy = -1329 meV/atom
1.0
-0.099 0.000 6.721
-5.092 3.989 2.746
-5.092 -3.989 2.746
O Cd S
12 4 2
Direct
0.408 0.467 0.306
0.389 0.834 0.247
0.592 0.533 0.694
0.316 0.945 0.667
0.092 0.694 0.533
0.611 0.166 0.753
0.184 0.333 0.055
0.889 0.247 0.834
0.816 0.667 0.945
0.684 0.055 0.333
0.111 0.753 0.166
0.908 0.306 0.467
0.312 0.153 0.339
0.688 0.847 0.661
0.188 0.661 0.847
0.812 0.339 0.153
0.750 0.310 0.690
0.250 0.690 0.310

# 4
CdSO3 (GGA-PBE, relaxed); space-group type = No. 14; magnetization = 0.00 Bohr magnetons per cell; DFT total energy = -5.2083 eV/atom; calculated formation energy = -1640 meV/atom
1.0
-1.068 -8.908 9.162
5.537 0.426 1.060
-0.065 6.280 6.098
S O Cd
8 24 8
Direct
0.021 0.097 0.753
0.479 0.097 0.253
0.979 0.903 0.247
0.521 0.903 0.747
0.326 0.461 0.484
0.674 0.539 0.516
0.826 0.539 0.016
0.174 0.461 0.984
0.254 0.249 0.996
0.077 0.918 0.662
0.577 0.082 0.838
0.408 0.005 0.746
0.157 0.508 0.152
0.259 0.688 0.419
0.923 0.082 0.338
0.746 0.751 0.004
0.522 0.664 0.866
0.754 0.751 0.504
0.908 0.995 0.754
0.343 0.508 0.652
0.241 0.688 0.919
0.978 0.664 0.366
0.423 0.918 0.162
0.022 0.336 0.634
0.592 0.995 0.254
0.246 0.249 0.496
0.741 0.312 0.581
0.843 0.492 0.848
0.478 0.336 0.134
0.657 0.492 0.348
0.092 0.005 0.246
0.759 0.312 0.081
0.754 0.133 0.846
0.080 0.321 0.385
0.246 0.867 0.154
0.920 0.679 0.615
0.580 0.679 0.115
0.746 0.133 0.346
0.254 0.867 0.654
0.420 0.321 0.885

# 5
Cd2SO6 (GGA-PBE, relaxed); space-group type = No. 7; magnetization = 8.00 Bohr magnetons per cell; DFT total energy = -4.8277 eV/atom; calculated formation energy = -1322 meV/atom
1.0
3.819 -2.373 1.672
-0.217 5.746 8.648
-6.128 -6.740 4.428
O Cd S
24 8 4
Direct
0.825 0.354 0.318
0.257 0.751 0.238
0.644 0.104 0.496
0.365 0.893 0.494
0.639 0.506 0.598
0.880 0.707 0.390
0.356 0.604 0.996
0.811 0.860 0.206
0.180 0.190 0.359
0.175 0.854 0.818
0.174 0.654 0.692
0.815 0.816 0.654
0.820 0.690 0.859
0.145 0.132 0.660
0.361 0.006 0.098
0.743 0.251 0.738
0.826 0.154 0.192
0.635 0.393 0.994
0.185 0.316 0.154
0.639 0.994 0.900
0.189 0.360 0.706
0.855 0.632 0.160
0.361 0.494 0.400
0.120 0.207 0.890
0.556 0.184 0.997
0.519 0.502 0.811
0.522 0.312 0.511
0.478 0.812 0.011
0.444 0.684 0.497
0.481 0.002 0.311
0.526 0.996 0.685
0.474 0.496 0.185
0.947 0.737 0.250
0.004 0.255 0.256
0.996 0.755 0.756
0.053 0.237 0.750

# 6
CdSO4 (GGA-PBE, relaxed); space-group type = No. 8; magnetization = 0.00 Bohr magnetons per cell; DFT total energy = -5.3294 eV/atom; calculated formation energy = -1646 meV/atom
1.0
-2.862 -4.964 0.005
-2.868 4.967 0.000
0.010 0.006 -6.388
Cd O S
2 8 2
Direct
0.001 0.001 0.515
0.337 0.668 0.329
0.341 0.670 0.995
0.383 0.192 0.303
0.810 0.192 0.302
0.606 0.803 0.673
0.190 0.387 0.683
0.666 0.333 0.990
0.190 0.803 0.683
0.810 0.618 0.302
0.331 0.665 0.767
0.668 0.334 0.214

# 7
CdSO3 (GGA-PBE, relaxed); space-group type = No. 14; magnetization = 0.00 Bohr magnetons per cell; DFT total energy = -5.2082 eV/atom; calculated formation energy = -1640 meV/atom
1.0
-0.763 0.742 8.963
3.895 -2.339 0.525
3.883 6.160 -0.179
O S Cd
12 4 4
Direct
0.139 0.694 0.094
0.639 0.306 0.406
0.402 0.265 0.245
0.598 0.735 0.755
0.861 0.306 0.906
0.902 0.735 0.255
0.110 0.070 0.316
0.610 0.930 0.184
0.890 0.930 0.684
0.098 0.265 0.745
0.361 0.694 0.594
0.390 0.070 0.816
0.928 0.258 0.712
0.072 0.742 0.288
0.428 0.742 0.788
0.572 0.258 0.212
0.711 0.785 0.473
0.289 0.215 0.527
0.211 0.215 0.027
0.789 0.785 0.973

# 8
Cd2SO6 (GGA-PBE, relaxed); space-group type = No. 14; magnetization = 8.00 Bohr magnetons per cell; DFT total energy = -4.8397 eV/atom; calculated formation energy = -1334 meV/atom
1.0
-0.924 -3.055 -6.677
6.894 0.530 -1.196
7.190 -8.865 3.062
O Cd S
24 8 4
Direct
0.199 0.294 0.190
0.328 0.035 0.518
0.563 0.336 0.119
0.392 0.837 0.312
0.108 0.837 0.812
0.940 0.539 0.137
0.801 0.706 0.810
0.060 0.461 0.863
0.172 0.035 0.018
0.440 0.461 0.363
0.063 0.664 0.381
0.516 0.237 0.860
0.484 0.763 0.140
0.984 0.237 0.360
0.672 0.965 0.482
0.437 0.664 0.881
0.699 0.706 0.310
0.828 0.965 0.982
0.892 0.163 0.188
0.608 0.163 0.688
0.937 0.336 0.619
0.016 0.763 0.640
0.560 0.539 0.637
0.301 0.294 0.690
0.665 0.683 0.004
0.528 0.845 0.676
0.028 0.155 0.824
0.835 0.683 0.504
0.472 0.155 0.324
0.165 0.317 0.496
0.972 0.845 0.176
0.335 0.317 0.996
0.497 0.307 0.720
0.003 0.307 0.220
0.997 0.693 0.780
0.503 0.693 0.280

# 9
CdSO3 (GGA-PBE, relaxed); space-group type = No. 148; magnetization = 0.00 Bohr magnetons per cell; DFT total energy = -5.2054 eV/atom; calculated formation energy = -1637 meV/atom
1.0
-0.299 6.052 -5.724
-3.663 2.675 6.994
7.969 -1.830 1.622
O Cd S
18 6 6
Direct
0.311 0.363 0.977
0.577 0.870 0.125
0.875 0.423 0.130
0.363 0.977 0.311
0.130 0.875 0.423
0.454 0.659 0.777
0.423 0.130 0.875
0.659 0.777 0.454
0.637 0.023 0.689
0.870 0.125 0.577
0.023 0.689 0.637
0.125 0.577 0.870
0.977 0.311 0.363
0.341 0.223 0.546
0.689 0.637 0.023
0.777 0.454 0.659
0.546 0.341 0.223
0.223 0.546 0.341
0.816 0.641 0.327
0.673 0.184 0.359
0.641 0.327 0.816
0.359 0.673 0.184
0.327 0.816 0.641
0.184 0.359 0.673
0.021 0.356 0.211
0.211 0.021 0.356
0.644 0.789 0.979
0.356 0.211 0.021
0.789 0.979 0.644
0.979 0.644 0.789

# 10
Cd3S3O20 (GGA-PBE, relaxed); space-group type = No. 15; magnetization = 0.04 Bohr magnetons per cell; DFT total energy = -5.1180 eV/atom; calculated formation energy = -852 meV/atom
1.0
-8.749 2.618 3.886
-3.878 -9.136 0.050
2.775 -1.844 9.176
O S Cd
40 6 6
Direct
0.245 0.270 0.206
0.999 0.191 0.833
0.309 0.870 0.518
0.691 0.130 0.482
0.476 0.366 0.298
0.925 0.310 0.368
0.270 0.245 0.706
0.550 0.400 0.635
0.755 0.730 0.794
0.634 0.524 0.202
0.191 0.999 0.333
0.870 0.309 0.018
0.648 0.896 0.548
0.122 0.647 0.521
0.878 0.353 0.479
0.104 0.352 0.952
0.137 0.053 0.570
0.001 0.809 0.167
0.647 0.122 0.021
0.947 0.863 0.930
0.352 0.104 0.452
0.310 0.925 0.868
0.524 0.634 0.702
0.809 0.001 0.667
0.400 0.550 0.135
0.366 0.476 0.798
0.863 0.947 0.430
0.450 0.600 0.365
0.730 0.755 0.294
0.332 0.205 0.134
0.795 0.668 0.366
0.668 0.795 0.866
0.053 0.137 0.070
0.353 0.878 0.979
0.075 0.690 0.632
0.130 0.691 0.982
0.690 0.075 0.132
0.600 0.450 0.865
0.205 0.332 0.634
0.896 0.648 0.048
0.490 0.510 0.250
0.248 0.006 0.468
0.006 0.248 0.968
0.510 0.490 0.750
0.994 0.752 0.032
0.752 0.994 0.532
0.507 0.749 0.501
0.986 0.014 0.250
0.251 0.493 0.999
0.014 0.986 0.750
0.749 0.507 0.001
0.493 0.251 0.499

# 11
Cd3S3O20 (GGA-PBE, relaxed); space-group type = No. 1; magnetization = 16.00 Bohr magnetons per cell; DFT total energy = -5.2472 eV/atom; calculated formation energy = -981 meV/atom
1.0
4.456 0.947 8.527
2.015 9.514 -0.220
-8.026 2.754 4.821
O Cd S
40 6 6
Direct
0.435 0.591 0.374
0.477 0.362 0.284
0.870 0.384 0.459
0.998 0.192 0.826
0.353 0.113 0.435
0.325 0.869 0.505
0.717 0.751 0.296
0.361 0.486 0.805
0.130 0.678 0.991
0.607 0.452 0.862
0.644 0.115 0.018
0.813 0.998 0.671
0.115 0.652 0.513
0.407 0.566 0.129
0.080 0.687 0.631
0.272 0.245 0.711
0.760 0.731 0.783
0.200 0.338 0.640
0.356 0.879 0.990
0.236 0.292 0.211
0.070 0.123 0.060
0.000 0.801 0.178
0.705 0.143 0.481
0.868 0.933 0.435
0.325 0.228 0.131
0.518 0.637 0.696
0.092 0.356 0.946
0.194 0.004 0.325
0.934 0.309 0.372
0.887 0.648 0.063
0.776 0.669 0.387
0.943 0.864 0.938
0.639 0.526 0.219
0.862 0.293 0.023
0.141 0.054 0.567
0.691 0.071 0.130
0.668 0.807 0.849
0.318 0.918 0.873
0.638 0.915 0.555
0.547 0.393 0.642
0.022 0.981 0.752
0.986 0.010 0.248
0.491 0.257 0.492
0.527 0.742 0.493
0.258 0.476 0.008
0.745 0.505 0.014
0.509 0.491 0.751
0.756 0.996 0.536
0.254 0.011 0.458
0.007 0.242 0.963
0.990 0.747 0.042
0.487 0.513 0.251